UFe4P12: optimized geometry, meta-GGA r2SCAN.

Cell lengths 6.698, 6.698, 6.698 Å; angles 109.58, 109.42, 109.41 degrees
Positions (direct):
U  0.000  0.000  0.000
Fe  0.500  0.000  0.000
Fe  0.000  0.000  0.500
Fe  0.000  0.500  0.000
Fe  0.500  0.500  0.500
P  0.499  0.650  0.849
P  0.801  0.650  0.151
P  0.199  0.350  0.849
P  0.350  0.151  0.501
P  0.151  0.501  0.350
P  0.501  0.350  0.151
P  0.351  0.849  0.200
P  0.151  0.801  0.650
P  0.650  0.849  0.499
P  0.849  0.199  0.350
P  0.649  0.151  0.800
P  0.849  0.499  0.650

Total magnetic moment, μB/f.u.: 2.00
Theoretical density, g/cm³: 5.981
Symmetry: Immm, No. 71
Calculated total energy, eV per atom: -14.98
Formation energy from the elements, eV per atom: -0.529

---

AuI: optimized geometry, meta-GGA r2SCAN.

Cell lengths 4.409, 4.409, 14.201 Å; angles 90.00, 90.00, 90.00 degrees
Positions (direct):
Au  0.500  0.500  0.000
Au  0.000  0.500  0.500
Au  0.500  0.000  0.500
Au  0.000  0.000  0.000
I  0.750  0.750  0.852
I  0.750  0.750  0.352
I  0.250  0.250  0.648
I  0.250  0.250  0.148

Total magnetic moment, μB/f.u.: 0.00
Theoretical density, g/cm³: 7.791
Symmetry: P4_2/ncm, No. 138
Calculated total energy, eV per atom: -37.67
Formation energy from the elements, eV per atom: -0.099

---

CeMg12: optimized geometry, meta-GGA r2SCAN.

Cell lengths 7.830, 7.830, 7.823 Å; angles 98.13, 98.13, 135.78 degrees
Positions (direct):
Ce  0.000  0.000  0.000
Mg  0.500  0.287  0.788
Mg  0.500  0.713  0.212
Mg  0.713  0.500  0.212
Mg  0.287  0.500  0.788
Mg  0.000  0.352  0.352
Mg  0.000  0.648  0.648
Mg  0.648  0.000  0.648
Mg  0.352  0.000  0.352
Mg  0.000  0.000  0.500
Mg  0.500  0.500  0.500
Mg  0.500  0.000  0.000
Mg  0.000  0.500  0.000

Total magnetic moment, μB/f.u.: 1.10
Theoretical density, g/cm³: 2.313
Symmetry: C2/m, No. 12
Calculated total energy, eV per atom: -6.26
Formation energy from the elements, eV per atom: -0.035